(1)
UTi22Fe18PbO76 (GGA+U, optimized geometry); space-group type = No. 1
1.0
9.4480 0.0000 0.0000
-3.4371 8.8133 0.0000
-3.4683 -3.6840 16.8357
U Ti Fe Pb O
1 22 18 1 76
Direct
0.5069 0.7534 0.2517
0.1884 0.3383 0.6550
0.2993 0.2028 0.9197
0.4901 0.6085 0.6711
0.2781 0.7712 0.6428
0.6232 0.4692 0.9605
0.3568 0.0258 0.5392
0.7078 0.6824 0.8394
0.1540 0.8072 0.1538
0.3054 0.7151 0.4322
0.4893 0.8901 0.8207
0.4680 0.1033 0.1691
0.6889 0.3064 0.5733
0.8549 0.1630 0.8593
0.2907 0.3105 0.1594
0.6282 0.9740 0.4608
0.9251 0.3801 0.7393
0.3384 0.5066 0.0385
0.7038 0.2037 0.3395
0.5224 0.4075 0.3258
0.6662 0.7858 0.0698
0.8623 0.6665 0.3488
0.9306 0.8746 0.2370
0.3204 0.8545 0.9796
0.3052 0.5409 0.8469
0.2097 0.0195 0.7239
0.3366 0.3591 0.4816
0.3025 0.0485 0.3484
0.6046 0.0716 0.6931
0.6582 0.6367 0.5110
0.8622 0.0548 0.6285
0.9445 0.2365 0.4996
0.0100 0.9293 0.8582
0.8931 0.7021 0.6750
0.9781 0.8747 0.5368
0.7028 0.4629 0.1517
0.6438 0.1318 0.0104
0.9370 0.7181 0.0011
0.0441 0.4363 0.3552
0.8715 0.1899 0.1786
0.9786 0.4180 0.0631
0.9925 0.0618 0.0263
0.2406 0.6825 0.8922
0.0623 0.1588 0.8899
0.1453 0.3983 0.7561
0.0163 0.9010 0.7520
0.2521 0.5755 0.6471
0.0967 0.1147 0.6508
0.1663 0.3110 0.5405
0.3825 0.4485 0.9318
0.2239 0.9959 0.9314
0.0807 0.7907 0.6210
0.4876 0.6812 0.8140
0.3052 0.1733 0.8189
0.1594 0.9893 0.5062
0.3954 0.4040 0.6887
0.2364 0.1878 0.3945
0.0742 0.6518 0.3801
0.4881 0.5596 0.5693
0.2996 0.8628 0.7577
0.1465 0.8975 0.2598
0.7174 0.7252 0.9746
0.5313 0.2612 0.9650
0.3761 0.0322 0.6508
0.9792 0.3839 0.2513
0.6283 0.4854 0.8583
0.2610 0.1006 0.1542
0.0840 0.6074 0.1465
0.4672 0.2410 0.5375
0.3011 0.7854 0.5340
0.7009 0.6559 0.7302
0.5042 0.9479 0.9267
0.1611 0.8083 0.0442
0.3910 0.9520 0.4304
0.2498 0.5046 0.4252
0.6209 0.0838 0.8087
0.0643 0.2770 0.1232
0.8361 0.5040 0.0015
0.4833 0.1787 0.3155
0.3533 0.7049 0.3105
0.6980 0.2944 0.6809
0.5077 0.8286 0.6874
0.1423 0.4839 0.0099
0.9243 0.7305 0.8900
0.3875 0.8878 0.1924
0.7617 0.5148 0.5791
0.6193 0.0459 0.5730
0.8367 0.1980 0.9671
0.4745 0.0491 0.0691
0.3268 0.3723 0.2672
0.7166 0.2172 0.4687
0.5390 0.7657 0.4619
0.9073 0.3567 0.8403
0.7923 0.9185 0.8556
0.3795 0.5466 0.1548
0.9643 0.5725 0.7314
0.6298 0.9720 0.3518
0.4586 0.7386 0.0382
0.2949 0.2953 0.0429
0.8340 0.1113 0.7298
0.6834 0.1413 0.2313
0.5194 0.4498 0.4293
0.9263 0.2893 0.6132
0.8086 0.8231 0.5996
0.6194 0.6200 0.3112
0.8508 0.0162 0.5045
0.6757 0.8095 0.1916
0.5274 0.3309 0.1861
0.9270 0.2604 0.3902
0.7556 0.0085 0.0785
0.6123 0.5537 0.0724
0.8339 0.6974 0.4564
0.9203 0.8662 0.3424
0.7467 0.4168 0.3427
0.9565 0.0676 0.2319
0.8412 0.6274 0.2348
0.9365 0.8146 0.1182
0.7803 0.3116 0.1062


(2)
V5FePbO11 (GGA+U, optimized geometry); space-group type = No. 36
1.0
2.9437 -5.2275 0.0000
2.9437 5.2275 0.0000
0.0000 0.0000 13.3249
V Fe Pb O
10 2 2 22
Direct
0.4986 0.5014 0.4986
0.5097 0.0125 0.4990
0.9875 0.4903 0.4990
0.5014 0.4986 0.9986
0.4903 0.9875 0.9990
0.0125 0.5097 0.9990
0.9996 0.0004 0.8509
0.0004 0.9996 0.3509
0.6685 0.3315 0.7602
0.3315 0.6685 0.2602
0.0049 0.9951 0.6420
0.9951 0.0049 0.1420
0.3380 0.6620 0.7225
0.6620 0.3380 0.2225
0.6593 0.3407 0.5869
0.3407 0.6593 0.0869
0.1879 0.8121 0.5767
0.1817 0.3605 0.5792
0.6395 0.8183 0.5792
0.8121 0.1879 0.0767
0.8183 0.6395 0.0792
0.3605 0.1817 0.0792
0.1704 0.8296 0.9221
0.1778 0.3433 0.9262
0.6567 0.8222 0.9262
0.8296 0.1704 0.4221
0.8222 0.6567 0.4262
0.3433 0.1778 0.4262
0.6636 0.3364 0.9136
0.3364 0.6636 0.4136
0.1630 0.8370 0.2549
0.1625 0.3092 0.2539
0.6908 0.8375 0.2539
0.8370 0.1630 0.7549
0.8375 0.6908 0.7539
0.3092 0.1625 0.7539


| no. | ΔH_f (0 K) (meV/atom) | total moment (μB per atom) |
| --- | --- | --- |
| 1 | -2144 | 0.01 |
| 2 | -2285 | 0.61 |